1.
Entry from the Materials Project database: crystalline NbSnS2 at its relaxed geometry (r²SCAN). Values from VASP.

Structure (Quantum ESPRESSO input):
```
&SYSTEM
  ibrav = 0, nat = 8, ntyp = 3
/
ATOMIC_SPECIES
Nb 92.91 Nb.upf
Sn 118.71 Sn.upf
S 32.06 S.upf
ATOMIC_POSITIONS crystal
Nb 0.333 0.667 0.250
Nb 0.667 0.333 0.750
Sn 0.000 0.000 0.000
Sn 0.000 0.000 0.500
S 0.000 0.000 0.161
S 0.000 0.000 0.339
S 0.000 0.000 0.661
S 0.000 0.000 0.839
CELL_PARAMETERS angstrom
3.356 0.000 0.000
-1.678 2.906 0.000
0.000 0.000 17.501
```

Results
* total magnetic moment: 0.000 μB/atom

---

2.
Entry from the Materials Project database: crystalline TiNb3S6 at its relaxed geometry (r²SCAN). Values from VASP.

Structure (Quantum ESPRESSO input):
```
&SYSTEM
  ibrav = 0, nat = 20, ntyp = 3
/
ATOMIC_SPECIES
Ti 47.87 Ti.upf
Nb 92.91 Nb.upf
S 32.06 S.upf
ATOMIC_POSITIONS crystal
Ti 0.167 0.833 0.750
Ti 0.833 0.167 0.250
Nb 0.167 0.833 0.002
Nb 0.167 0.833 0.498
Nb 0.500 0.500 0.000
Nb 0.500 0.500 0.500
Nb 0.833 0.167 0.502
Nb 0.833 0.167 0.998
S 0.166 0.168 0.126
S 0.167 0.498 0.374
S 0.168 0.166 0.874
S 0.168 0.502 0.626
S 0.498 0.167 0.626
S 0.498 0.832 0.874
S 0.502 0.168 0.374
S 0.502 0.833 0.126
S 0.832 0.498 0.126
S 0.832 0.834 0.374
S 0.833 0.502 0.874
S 0.834 0.832 0.626
CELL_PARAMETERS angstrom
2.907 -5.034 0.000
2.907 5.034 0.000
0.000 0.000 12.536
```

Results
* total magnetic moment: 0.101 μB/atom

---

3.
Entry from the Materials Project database: crystalline Nb6TlS8 at its relaxed geometry (r²SCAN). Values from VASP.

Structure (Quantum ESPRESSO input):
```
&SYSTEM
  ibrav = 0, nat = 15, ntyp = 3
/
ATOMIC_SPECIES
Nb 92.91 Nb.upf
Tl 204.38 Tl.upf
S 32.06 S.upf
ATOMIC_POSITIONS crystal
Nb 0.041 0.224 0.000
Nb 0.154 0.711 0.500
Nb 0.182 0.959 0.000
Nb 0.289 0.443 0.500
Nb 0.557 0.846 0.500
Nb 0.776 0.818 0.000
Tl 0.667 0.333 0.000
S 0.000 0.000 0.500
S 0.011 0.392 0.500
S 0.318 0.275 0.000
S 0.333 0.667 0.000
S 0.381 0.989 0.500
S 0.608 0.619 0.500
S 0.725 0.043 0.000
S 0.957 0.682 0.000
CELL_PARAMETERS angstrom
9.752 0.000 0.000
-4.876 8.446 0.000
0.000 0.000 3.398
```

Results
* total magnetic moment: 0.012 μB/atom

---

4.
Entry from the Materials Project database: crystalline Nb2Tl4S11 at its relaxed geometry (r²SCAN). Values from VASP.

Structure (Quantum ESPRESSO input):
```
&SYSTEM
  ibrav = 0, nat = 34, ntyp = 3
/
ATOMIC_SPECIES
Nb 92.91 Nb.upf
Tl 204.38 Tl.upf
S 32.06 S.upf
ATOMIC_POSITIONS crystal
Nb 0.122 0.364 0.306
Nb 0.334 0.109 0.190
Nb 0.666 0.891 0.810
Nb 0.878 0.636 0.694
Tl 0.059 0.760 0.976
Tl 0.216 0.968 0.573
Tl 0.243 0.420 0.585
Tl 0.497 0.726 0.115
Tl 0.503 0.274 0.885
Tl 0.757 0.580 0.415
Tl 0.784 0.032 0.427
Tl 0.941 0.240 0.024
S 0.008 0.708 0.533
S 0.039 0.134 0.253
S 0.044 0.647 0.245
S 0.108 0.485 0.813
S 0.270 0.042 0.042
S 0.275 0.398 0.111
S 0.364 0.861 0.333
S 0.391 0.195 0.372
S 0.396 0.430 0.352
S 0.414 0.074 0.745
S 0.476 0.684 0.882
S 0.524 0.316 0.118
S 0.586 0.926 0.255
S 0.604 0.570 0.648
S 0.609 0.805 0.628
S 0.636 0.139 0.667
S 0.725 0.602 0.889
S 0.730 0.958 0.958
S 0.892 0.515 0.187
S 0.956 0.353 0.755
S 0.961 0.866 0.747
S 0.992 0.292 0.467
CELL_PARAMETERS angstrom
7.966 0.000 0.000
0.710 8.997 0.000
0.184 4.073 12.701
```

Results
* total magnetic moment: 0.000 μB/atom

---

no.,E (eV per atom)
1,-17.3294
2,-14.9438
3,-18.9078
4,-21.2617